Nd2Ni7: relaxed, PBE.

Calculated values
ΔH_f (0 K) ... -0.307 eV/atom
Density ... 8.67 g/cm³
Space group ... R-3m (166)
Final energy ... -5.8624 eV/atom

a b c (Å): 5.035 5.035 12.545
angles (deg): 78.42 78.42 60.00
Atoms (fractional coordinates):
Nd: 0.050 0.050 0.849
Nd: 0.147 0.147 0.558
Nd: 0.853 0.853 0.442
Nd: 0.950 0.950 0.151
Ni: 0.109 0.609 0.674
Ni: 0.278 0.278 0.165
Ni: 0.388 0.388 0.836
Ni: 0.722 0.722 0.835
Ni: 0.391 0.891 0.326
Ni: 0.891 0.391 0.326
Ni: 0.500 0.500 0.500
Ni: 0.000 0.500 0.000
Ni: 0.609 0.609 0.674
Ni: 0.500 0.000 0.000
Ni: 0.391 0.391 0.326
Ni: 0.500 0.500 0.000
Ni: 0.609 0.109 0.674
Ni: 0.612 0.612 0.164

---

LaMo6Se4S4: relaxed, PBE.

Calculated values
ΔH_f (0 K) ... -0.989 eV/atom
Density ... 6.33 g/cm³
Space group ... P1 (1)
Final energy ... -7.5580 eV/atom

a b c (Å): 6.699 6.705 6.769
angles (deg): 90.24 90.78 90.10
Atoms (fractional coordinates):
S: 0.757 0.753 0.247
S: 0.739 0.131 0.620
S: 0.244 0.243 0.752
S: 0.130 0.377 0.262
Mo: 0.560 0.417 0.763
Mo: 0.584 0.769 0.556
Mo: 0.419 0.231 0.442
Mo: 0.233 0.555 0.577
Mo: 0.771 0.439 0.421
Mo: 0.441 0.577 0.235
Se: 0.882 0.625 0.756
Se: 0.623 0.242 0.121
Se: 0.241 0.877 0.374
Se: 0.378 0.754 0.876
La: 0.996 0.009 0.998

---

LiIn2Ir: relaxed, PBE.

Calculated values
ΔH_f (0 K) ... -0.311 eV/atom
Density ... 10.16 g/cm³
Space group ... Fm-3m (225)
Final energy ... -4.3735 eV/atom

a b c (Å): 4.628 4.628 4.628
angles (deg): 60.00 60.00 60.00
Atoms (fractional coordinates):
Ir: 0.000 0.000 0.000
In: 0.250 0.250 0.250
In: 0.750 0.750 0.750
Li: 0.500 0.500 0.500

---

EuBeO3: relaxed, PBE.

Calculated values
ΔH_f (0 K) ... -2.572 eV/atom
Density ... 7.18 g/cm³
Space group ... Pm-3m (221)
Final energy ... -7.9275 eV/atom

a b c (Å): 3.643 3.643 3.643
angles (deg): 90.00 90.00 90.00
Atoms (fractional coordinates):
O: 0.500 0.000 0.500
O: 0.000 0.500 0.500
O: 0.500 0.500 0.000
Eu: 0.000 0.000 0.000
Be: 0.500 0.500 0.500

---

Ba2MgAg2O4: relaxed, PBE.

Calculated values
ΔH_f (0 K) ... -1.778 eV/atom
Density ... 5.42 g/cm³
Space group ... Pm (6)
Final energy ... -4.9059 eV/atom

a b c (Å): 3.813 3.602 13.302
angles (deg): 90.00 76.01 90.00
Atoms (fractional coordinates):
Mg: 0.585 0.750 0.498
O: 0.861 0.750 0.172
O: 0.658 0.250 0.410
O: 0.305 0.250 0.829
O: 0.028 0.750 0.565
Ba: 0.252 0.750 0.304
Ba: 0.905 0.250 0.706
Ag: 0.190 0.750 0.926
Ag: 0.965 0.250 0.081

---

Y2Co3Si5: relaxed, PBE.

Calculated values
Distance to the lowest polymorph of the same formula ... 0.0 meV/atom
ΔH_f (0 K) ... -0.737 eV/atom
Density ... 5.51 g/cm³
Space group ... C2/c (15)
Final energy ... -6.9111 eV/atom

a b c (Å): 7.855 7.855 5.518
angles (deg): 70.82 70.82 93.42
Atoms (fractional coordinates):
Y: 0.870 0.597 0.763
Y: 0.403 0.130 0.737
Y: 0.597 0.870 0.263
Y: 0.130 0.403 0.237
Co: 0.263 0.540 0.626
Co: 0.003 0.997 0.750
Co: 0.540 0.263 0.126
Co: 0.737 0.460 0.374
Co: 0.460 0.737 0.874
Co: 0.997 0.003 0.250
Si: 0.229 0.771 0.250
Si: 0.064 0.262 0.835
Si: 0.262 0.064 0.335
Si: 0.738 0.936 0.665
Si: 0.936 0.738 0.165
Si: 0.771 0.229 0.750
Si: 0.786 0.214 0.250
Si: 0.214 0.786 0.750
Si: 0.489 0.511 0.250
Si: 0.511 0.489 0.750

---

YTmMg2: relaxed, PBE.

Calculated values
ΔH_f (0 K) ... -0.081 eV/atom
Density ... 4.71 g/cm³
Space group ... Fm-3m (225)
Final energy ... -3.6165 eV/atom

a b c (Å): 5.345 5.345 5.345
angles (deg): 60.00 60.00 60.00
Atoms (fractional coordinates):
Y: 0.000 0.000 0.000
Mg: 0.750 0.750 0.750
Mg: 0.250 0.250 0.250
Tm: 0.500 0.500 0.500

---

MnSn: relaxed, PBE.

Calculated values
ΔH_f (0 K) ... 0.817 eV/atom
Density ... 4.99 g/cm³
Space group ... F-43m (216)
Final energy ... -5.7692 eV/atom

a b c (Å): 4.341 4.341 4.341
angles (deg): 60.00 60.00 60.00
Atoms (fractional coordinates):
Mn: 0.000 0.000 0.000
Sn: 0.250 0.250 0.250

---

CeSn2Ir2: relaxed, PBE.

Calculated values
ΔH_f (0 K) ... -0.537 eV/atom
Density ... 11.72 g/cm³
Space group ... P4/nmm (129)
Final energy ... -6.8626 eV/atom

a b c (Å): 4.431 4.431 10.998
angles (deg): 90.00 90.00 90.00
Atoms (fractional coordinates):
Ir: 0.500 0.500 0.000
Ir: 0.000 0.000 0.000
Ir: 0.000 0.500 0.366
Ir: 0.500 0.000 0.634
Sn: 0.000 0.500 0.131
Sn: 0.500 0.500 0.500
Sn: 0.000 0.000 0.500
Sn: 0.500 0.000 0.869
Ce: 0.000 0.500 0.754
Ce: 0.500 0.000 0.246

---

ZnCo3C: relaxed, PBE.

Calculated values
ΔH_f (0 K) ... -0.017 eV/atom
Density ... 8.08 g/cm³
Space group ... Pm-3m (221)
Final energy ... -6.3800 eV/atom

a b c (Å): 3.738 3.738 3.738
angles (deg): 90.00 90.00 90.00
Atoms (fractional coordinates):
Co: 0.500 0.500 0.000
Co: 0.000 0.500 0.500
Co: 0.500 0.000 0.500
Zn: 0.000 0.000 0.000
C: 0.500 0.500 0.500

---

Nd2Cu5Ag5: relaxed, PBE.

Calculated values
ΔH_f (0 K) ... -0.089 eV/atom
Density ... 8.59 g/cm³
Space group ... Pmmm (47)
Final energy ... -3.7723 eV/atom

a b c (Å): 4.485 5.267 9.380
angles (deg): 90.00 90.00 90.00
Atoms (fractional coordinates):
Ag: 0.500 0.000 0.000
Ag: 0.000 0.500 0.334
Ag: 0.000 0.000 0.822
Ag: 0.000 0.000 0.178
Ag: 0.000 0.500 0.666
Cu: 0.500 0.748 0.741
Cu: 0.500 0.500 0.500
Cu: 0.500 0.252 0.741
Cu: 0.500 0.252 0.259
Cu: 0.500 0.748 0.259
Nd: 0.000 0.000 0.500
Nd: 0.000 0.500 0.000

---

Rb9Fe2Se7: relaxed, PBE.

Calculated values
ΔH_f (0 K) ... -0.944 eV/atom
Density ... 3.65 g/cm³
Space group ... P2_13 (198)
Final energy ... -3.5515 eV/atom

a b c (Å): 13.768 13.768 13.768
angles (deg): 90.00 90.00 90.00
Atoms (fractional coordinates):
Rb: 0.082 0.582 0.918
Rb: 0.822 0.543 0.707
Rb: 0.199 0.168 0.501
Rb: 0.001 0.301 0.832
Rb: 0.999 0.801 0.668
Rb: 0.168 0.501 0.199
Rb: 0.678 0.457 0.207
Rb: 0.457 0.207 0.678
Rb: 0.832 0.001 0.301
Rb: 0.043 0.793 0.178
Rb: 0.801 0.668 0.999
Rb: 0.293 0.322 0.957
Rb: 0.668 0.999 0.801
Rb: 0.301 0.832 0.001
Rb: 0.178 0.043 0.793
Rb: 0.738 0.262 0.762
Rb: 0.793 0.178 0.043
Rb: 0.707 0.822 0.543
Rb: 0.207 0.678 0.457
Rb: 0.332 0.499 0.699
Rb: 0.543 0.707 0.822
Rb: 0.499 0.699 0.332
Rb: 0.943 0.557 0.443
Rb: 0.699 0.332 0.499
Rb: 0.501 0.199 0.168
Rb: 0.443 0.943 0.557
Rb: 0.322 0.957 0.293
Rb: 0.238 0.238 0.238
Rb: 0.582 0.918 0.082
Rb: 0.762 0.738 0.262
Rb: 0.557 0.443 0.943
Rb: 0.418 0.418 0.418
Rb: 0.957 0.293 0.322
Rb: 0.057 0.057 0.057
Rb: 0.262 0.762 0.738
Rb: 0.918 0.082 0.582
Se: 0.188 0.923 0.555
Se: 0.923 0.555 0.188
Se: 0.555 0.188 0.923
Se: 0.812 0.423 0.945
Se: 0.834 0.914 0.065
Se: 0.704 0.204 0.296
Se: 0.586 0.935 0.334
Se: 0.666 0.086 0.565
Se: 0.334 0.586 0.935
Se: 0.445 0.688 0.577
Se: 0.296 0.704 0.204
Se: 0.796 0.796 0.796
Se: 0.312 0.077 0.055
Se: 0.166 0.414 0.435
Se: 0.945 0.812 0.423
Se: 0.065 0.834 0.914
Se: 0.688 0.577 0.445
Se: 0.565 0.666 0.086
Se: 0.204 0.296 0.704
Se: 0.935 0.334 0.586
Se: 0.914 0.065 0.834
Se: 0.055 0.312 0.077
Se: 0.577 0.445 0.688
Se: 0.414 0.435 0.166
Se: 0.435 0.166 0.414
Se: 0.086 0.565 0.666
Se: 0.077 0.055 0.312
Se: 0.423 0.945 0.812
Fe: 0.900 0.900 0.900
Fe: 0.928 0.428 0.072
Fe: 0.100 0.400 0.600
Fe: 0.600 0.100 0.400
Fe: 0.072 0.928 0.428
Fe: 0.428 0.072 0.928
Fe: 0.400 0.600 0.100
Fe: 0.572 0.572 0.572

---

Ba3TbRu2O9: relaxed, PBE.

Calculated values
ΔH_f (0 K) ... -2.627 eV/atom
Density ... 6.75 g/cm³
Space group ... P6_3/mmc (194)
Final energy ... -7.1130 eV/atom

a b c (Å): 5.967 5.967 14.640
angles (deg): 90.00 90.00 120.00
Atoms (fractional coordinates):
O: 0.353 0.176 0.589
O: 0.824 0.647 0.911
O: 0.020 0.510 0.250
O: 0.176 0.353 0.089
O: 0.510 0.490 0.750
O: 0.824 0.647 0.589
O: 0.510 0.020 0.750
O: 0.176 0.824 0.411
O: 0.490 0.510 0.250
O: 0.647 0.824 0.089
O: 0.490 0.980 0.250
O: 0.980 0.490 0.750
O: 0.647 0.824 0.411
O: 0.824 0.176 0.589
O: 0.176 0.824 0.089
O: 0.176 0.353 0.411
O: 0.353 0.176 0.911
O: 0.824 0.176 0.911
Ba: 0.333 0.667 0.595
Ba: 0.333 0.667 0.905
Ba: 0.000 0.000 0.750
Ba: 0.667 0.333 0.405
Ba: 0.667 0.333 0.095
Ba: 0.000 0.000 0.250
Tb: 0.000 0.000 0.500
Tb: 0.000 0.000 0.000
Ru: 0.333 0.667 0.335
Ru: 0.667 0.333 0.835
Ru: 0.333 0.667 0.165
Ru: 0.667 0.333 0.665

---

UPdO3: relaxed, PBE.

Calculated values
ΔH_f (0 K) ... -2.449 eV/atom
Density ... 8.73 g/cm³
Space group ... Pm-3m (221)
Final energy ... -8.2995 eV/atom

a b c (Å): 4.210 4.210 4.210
angles (deg): 90.00 90.00 90.00
Atoms (fractional coordinates):
Pd: 0.000 0.000 0.000
O: 0.000 0.500 0.500
O: 0.500 0.500 0.000
O: 0.500 0.000 0.500
U: 0.500 0.500 0.500

---

Ba3LuB9O18: relaxed, PBE.

Calculated values
ΔH_f (0 K) ... -3.141 eV/atom
Density ... 4.10 g/cm³
Space group ... P6_3/m (176)
Final energy ... -7.8855 eV/atom

a b c (Å): 7.260 7.260 17.266
angles (deg): 90.00 90.00 120.00
Atoms (fractional coordinates):
Lu: 0.000 0.000 0.000
Lu: 0.000 0.000 0.500
B: 0.281 0.833 0.080
B: 0.552 0.719 0.420
B: 0.719 0.167 0.920
B: 0.495 0.117 0.750
B: 0.833 0.552 0.920
B: 0.883 0.378 0.750
B: 0.167 0.448 0.080
B: 0.281 0.833 0.420
B: 0.117 0.622 0.250
B: 0.505 0.883 0.250
B: 0.448 0.281 0.580
B: 0.719 0.167 0.580
B: 0.552 0.719 0.080
B: 0.167 0.448 0.420
B: 0.622 0.505 0.750
B: 0.378 0.495 0.250
B: 0.448 0.281 0.920
B: 0.833 0.552 0.580
O: 0.709 0.167 0.750
O: 0.761 0.008 0.579
O: 0.753 0.761 0.421
O: 0.992 0.753 0.579
O: 0.878 0.384 0.581
O: 0.992 0.753 0.921
O: 0.384 0.506 0.081
O: 0.878 0.384 0.919
O: 0.494 0.878 0.081
O: 0.616 0.494 0.919
O: 0.494 0.878 0.419
O: 0.247 0.239 0.579
O: 0.587 0.668 0.750
O: 0.167 0.458 0.250
O: 0.008 0.247 0.421
O: 0.122 0.616 0.419
O: 0.239 0.992 0.079
O: 0.239 0.992 0.421
O: 0.833 0.542 0.750
O: 0.506 0.122 0.581
O: 0.008 0.247 0.079
O: 0.668 0.081 0.250
O: 0.458 0.291 0.750
O: 0.247 0.239 0.921
O: 0.081 0.413 0.750
O: 0.919 0.587 0.250
O: 0.542 0.709 0.250
O: 0.753 0.761 0.079
O: 0.384 0.506 0.419
O: 0.413 0.332 0.250
O: 0.332 0.919 0.750
O: 0.291 0.833 0.250
O: 0.506 0.122 0.919
O: 0.122 0.616 0.081
O: 0.761 0.008 0.921
O: 0.616 0.494 0.581
Ba: 0.667 0.333 0.131
Ba: 0.333 0.667 0.631
Ba: 0.000 0.000 0.750
Ba: 0.667 0.333 0.369
Ba: 0.333 0.667 0.869
Ba: 0.000 0.000 0.250

---

Ba3SnF6: relaxed, PBE.

Calculated values
ΔH_f (0 K) ... -3.333 eV/atom
Density ... 4.54 g/cm³
Space group ... P-1 (2)
Final energy ... -5.1815 eV/atom

a b c (Å): 8.572 8.438 8.327
angles (deg): 64.60 153.83 117.34
Atoms (fractional coordinates):
F: 0.495 0.158 0.086
F: 0.381 0.311 0.604
F: 0.505 0.842 0.914
F: 0.079 0.604 0.334
F: 0.619 0.689 0.396
F: 0.921 0.396 0.666
Ba: 0.000 0.000 0.500
Ba: 0.500 0.500 0.000
Ba: 0.000 0.500 0.000
Sn: 0.000 0.000 0.000